(1)
Li3V3P8O29 | Materials Project | PBE with a Hubbard U | relaxed; mass density = 2.498 g/cm³; energy relative to the elements = -2531 meV per atom; distance to the lowest polymorph of the same formula = 0.2 kJ per mole of atoms; SG = Cc (9); VASP energy = -7.060 eV per atom
1.0
4.878 8.431 0.000
-4.878 8.431 0.000
0.000 0.062 14.312
Li V P O
6 6 16 58
Direct
0.907 0.326 0.441 Li
0.767 0.328 0.942 Li
0.326 0.907 0.941 Li
0.328 0.767 0.442 Li
0.985 0.960 0.997 Li
0.960 0.985 0.497 Li
0.564 0.435 0.748 V
0.435 0.564 0.248 V
0.567 0.997 0.253 V
0.440 0.003 0.748 V
0.997 0.567 0.753 V
0.003 0.440 0.248 V
0.916 0.783 0.160 P
0.783 0.916 0.660 P
0.914 0.313 0.656 P
0.664 0.665 0.868 P
0.665 0.664 0.368 P
0.776 0.315 0.157 P
0.694 0.220 0.337 P
0.313 0.914 0.156 P
0.697 0.085 0.843 P
0.315 0.776 0.657 P
0.220 0.694 0.837 P
0.329 0.338 0.634 P
0.338 0.329 0.134 P
0.085 0.697 0.343 P
0.220 0.086 0.337 P
0.086 0.220 0.837 P
0.009 0.792 0.427 O
0.915 0.740 0.671 O
0.792 0.009 0.927 O
0.740 0.915 0.171 O
0.921 0.620 0.173 O
0.812 0.666 0.823 O
0.914 0.470 0.673 O
0.991 0.209 0.916 O
0.915 0.349 0.172 O
0.666 0.812 0.323 O
0.620 0.921 0.673 O
0.815 0.514 0.328 O
0.664 0.658 0.972 O
0.658 0.664 0.472 O
0.669 0.513 0.826 O
0.470 0.914 0.173 O
0.514 0.815 0.828 O
0.743 0.343 0.672 O
0.791 0.198 0.240 O
0.798 0.207 0.417 O
0.785 0.240 0.065 O
0.618 0.473 0.174 O
0.513 0.669 0.326 O
0.653 0.263 0.837 O
0.473 0.618 0.674 O
0.349 0.915 0.672 O
0.800 0.004 0.751 O
0.799 0.993 0.575 O
0.209 0.991 0.416 O
0.655 0.084 0.335 O
0.539 0.381 0.327 O
0.343 0.743 0.172 O
0.478 0.338 0.679 O
0.381 0.539 0.827 O
0.207 0.798 0.917 O
0.240 0.785 0.565 O
0.198 0.791 0.740 O
0.263 0.653 0.337 O
0.481 0.183 0.181 O
0.541 0.077 0.829 O
0.338 0.478 0.179 O
0.334 0.331 0.031 O
0.331 0.334 0.531 O
0.183 0.481 0.681 O
0.381 0.080 0.328 O
0.335 0.187 0.681 O
0.084 0.655 0.835 O
0.004 0.800 0.251 O
0.993 0.799 0.075 O
0.077 0.541 0.329 O
0.187 0.335 0.181 O
0.080 0.381 0.828 O
0.261 0.083 0.839 O
0.237 0.978 0.064 O
0.194 0.018 0.239 O
0.083 0.261 0.339 O
0.978 0.237 0.564 O
0.018 0.194 0.739 O

---

(2)
Li3Fe8B8O24 | Materials Project | PBE with a Hubbard U | relaxed; mass density = 3.200 g/cm³; energy relative to the elements = -2244 meV per atom; distance to the lowest polymorph of the same formula = 1.1 kJ per mole of atoms; SG = P1 (1); VASP energy = -7.154 eV per atom
1.0
4.520 -0.001 2.754
1.184 8.733 -1.919
-7.829 -1.808 8.108
Li Fe B O
3 8 8 24
Direct
0.839 0.186 0.357 Li
0.391 0.046 0.097 Li
0.570 0.905 0.836 Li
0.598 0.590 0.862 Fe
0.911 0.881 0.117 Fe
0.150 0.474 0.622 Fe
0.348 0.017 0.376 Fe
0.661 0.984 0.625 Fe
0.853 0.528 0.372 Fe
0.089 0.106 0.874 Fe
0.396 0.403 0.125 Fe
0.351 0.349 0.364 B
0.113 0.771 0.873 B
0.859 0.860 0.375 B
0.594 0.265 0.875 B
0.135 0.138 0.615 B
0.403 0.729 0.119 B
0.656 0.643 0.623 B
0.893 0.235 0.134 B
0.865 0.774 0.900 O
0.549 0.541 0.667 O
0.772 0.102 0.137 O
0.465 0.210 0.361 O
0.113 0.377 0.399 O
0.222 0.626 0.828 O
0.701 0.391 0.860 O
0.968 0.969 0.334 O
0.309 0.885 0.171 O
0.365 0.091 0.571 O
0.016 0.261 0.598 O
0.603 0.716 0.056 O
0.393 0.279 0.938 O
0.636 0.903 0.424 O
0.686 0.110 0.827 O
0.032 0.042 0.668 O
0.294 0.604 0.133 O
0.782 0.383 0.171 O
0.858 0.596 0.560 O
0.570 0.794 0.647 O
0.962 0.722 0.367 O
0.249 0.915 0.898 O
0.470 0.458 0.329 O
0.128 0.226 0.095 O

---

(3)
YMnW2O8 | Materials Project | PBE with a Hubbard U | relaxed; mass density = 6.614 g/cm³; energy relative to the elements = -2538 meV per atom; distance to the lowest polymorph of the same formula = 3.0 kJ per mole of atoms; VASP energy = -7.962 eV per atom
1.0
4.782 -0.013 -2.197
3.511 5.551 1.962
5.601 -5.485 5.987
Y Mn W O
2 2 4 16
Direct
0.530 0.418 0.688 Y
0.530 0.918 0.188 Y
0.005 0.266 0.887 Mn
0.006 0.766 0.387 Mn
0.293 0.478 0.105 W
0.293 0.978 0.605 W
0.767 0.830 0.779 W
0.767 0.330 0.279 W
0.287 0.747 0.109 O
0.286 0.247 0.609 O
0.279 0.411 0.915 O
0.279 0.911 0.415 O
0.369 0.478 0.310 O
0.369 0.978 0.810 O
0.177 0.223 0.176 O
0.177 0.723 0.676 O
0.775 0.883 0.957 O
0.775 0.383 0.457 O
0.769 0.556 0.797 O
0.769 0.056 0.297 O
0.698 0.302 0.073 O
0.698 0.802 0.573 O
0.851 0.597 0.213 O
0.851 0.097 0.713 O

---

(4)
Lu4V4O13 | Materials Project | PBE with a Hubbard U | relaxed; mass density = 7.431 g/cm³; energy relative to the elements = -3068 meV per atom; distance to the lowest polymorph of the same formula = 0.6 kJ per mole of atoms; SG = F-43m (216); VASP energy = -7.974 eV per atom
1.0
-3.747 1.824 5.694
-7.019 0.573 -0.431
-4.130 -4.757 3.178
Lu V O
4 4 13
Direct
0.877 0.370 0.877 Lu
0.370 0.877 0.877 Lu
0.877 0.877 0.370 Lu
0.877 0.877 0.877 Lu
0.376 0.376 0.376 V
0.376 0.376 0.871 V
0.376 0.871 0.376 V
0.871 0.376 0.376 V
0.714 0.286 0.714 O
0.714 0.286 0.286 O
0.286 0.286 0.714 O
0.714 0.714 0.286 O
0.286 0.714 0.714 O
0.286 0.714 0.286 O
0.466 0.034 0.466 O
0.466 0.034 0.034 O
0.034 0.034 0.466 O
0.466 0.466 0.034 O
0.034 0.466 0.466 O
0.034 0.466 0.034 O
0.000 0.000 0.000 O

---

- energy relative to the elements of number 4 (Lu4V4O13)?
  -3068 meV per atom

---

- Among the records above, which one has the lowest VASP energy?
  Lu4V4O13

---

- Number 4 is which compound?
  Lu4V4O13